This record from Materials Project describes an optimized crystal structure of FeMo3S4. The functional is PBE. Values from VASP.

Structure (Quantum ESPRESSO input):
```
&SYSTEM
  ibrav = 0, nat = 16, ntyp = 3
/
ATOMIC_SPECIES
Fe 55.84 Fe.upf
Mo 95.94 Mo.upf
S 32.06 S.upf
ATOMIC_POSITIONS angstrom
Fe -0.232 2.201 0.614
Fe 5.903 3.418 5.856
Mo 0.739 5.420 3.557
Mo 2.644 0.048 1.441
Mo 2.690 1.310 3.869
Mo 2.981 4.309 2.600
Mo 3.027 5.571 5.029
Mo 4.932 0.199 2.912
S 0.730 1.117 2.493
S 0.828 4.265 1.386
S 1.492 0.151 5.690
S 1.788 3.518 4.730
S 3.883 2.101 1.740
S 4.179 5.468 0.780
S 4.843 1.355 5.083
S 4.941 4.503 3.977
CELL_PARAMETERS angstrom
6.491 0.000 0.000
-0.671 6.479 0.000
-0.149 -0.860 6.470
```

## Properties
calculated formation energy: -680 meV per atom
calculated volume: 17.00 Å³/atom
M_tot: 0.05 μB/atom

***

This record from Materials Project describes an optimized crystal structure of K3AlAs2. The functional is PBE. Values from VASP.

Structure (Quantum ESPRESSO input):
```
&SYSTEM
  ibrav = 0, nat = 48, ntyp = 3
/
ATOMIC_SPECIES
K 39.10 K.upf
Al 26.98 Al.upf
As 74.92 As.upf
ATOMIC_POSITIONS angstrom
K 1.937 4.692 1.237
K 4.815 7.277 9.620
K 1.796 1.769 3.575
K 5.442 3.776 11.814
K 7.351 12.390 6.992
K 7.560 5.972 12.905
K 6.516 9.520 2.659
K 7.484 8.972 6.953
K 5.357 5.338 2.808
K 8.670 9.304 10.856
K 10.719 12.800 9.489
K 5.239 1.566 1.271
K 12.303 13.599 13.339
K 6.823 2.365 5.121
K 8.872 5.861 3.754
K 12.185 9.827 11.802
K 10.058 6.194 7.658
K 11.026 5.645 11.951
K 9.982 9.193 1.705
K 10.190 2.775 7.618
K 12.100 11.389 2.796
K 15.746 13.396 11.035
K 12.727 7.888 4.990
K 15.605 10.474 13.373
Al 8.643 13.468 14.480
Al 4.357 4.694 6.519
Al 10.001 10.594 14.462
Al 6.695 4.577 8.423
Al 10.847 10.588 6.187
Al 7.541 4.571 0.148
Al 13.185 10.471 8.091
Al 8.899 1.697 0.130
As 5.807 10.558 9.626
As 3.800 8.085 1.554
As 4.426 3.589 8.686
As 1.815 0.278 0.569
As 9.457 12.100 12.489
As 6.553 5.824 6.294
As 9.665 8.114 14.013
As 9.091 10.833 4.609
As 8.450 4.332 10.002
As 7.877 7.051 0.597
As 10.989 9.341 8.316
As 8.085 3.065 2.121
As 15.727 14.887 14.041
As 13.115 11.576 5.924
As 13.742 7.080 13.056
As 11.735 4.607 4.984
CELL_PARAMETERS angstrom
9.166 0.000 0.000
3.802 11.690 0.000
4.574 3.475 14.610
```

## Properties
calculated formation energy: -511 meV per atom
calculated volume: 32.61 Å³/atom